## P
The following is a PBE calculation of a relaxed structure of NbP2S8, from the Materials Project.

Results
**Mass density**: 2.348 Mg/m³
**Piezoelectric modulus e_max**: 0.048 C/m²

abc: 12.2795 12.2795 7.7176
angles: 90.00 90.00 90.00
Last column: nearest neighbours and their distance in Å.
Space group P-4n2 (No. 118)
Symmetry-distinct sites (fractional):
Nb 0.0836 0.4164 0.2500  8 S 2.52-2.71
P 0.0740 0.1742 0.0758  4 S 1.99-2.14
S 0.0074 0.7758 0.2876  1 P 2.01
S 0.0226 0.8531 0.8498  2 P 2.14
S 0.0578 0.5586 0.4831  1 S 2.02
S 0.1813 0.2886 0.0103  1 P 1.99

## Q
The following is a PBE calculation of a relaxed structure of NbP2S8, from the Materials Project.

Results
**Mass density**: 2.079 Mg/m³

abc: 20.2994 11.9658 10.8220
angles: 90.00 90.00 90.00
Last column: nearest neighbours and their distance in Å.
Space group Cmce (No. 64)
Symmetry-distinct sites (fractional):
Nb 0.0717 0.0000 0.0000  8 S 2.52-2.68
P 0.1893 0.1851 0.0136  4 S 2.00-2.15
S 0.0000 0.0141 0.8097  1 S 2.02
S 0.0000 0.1390 0.1111  1 S 2.02
S 0.1144 0.1839 0.8925  1 P 2.01
S 0.1672 0.0772 0.1480  1 P 2.00
S 0.2170 0.1534 0.5732  2 P 2.11-2.15

Winner for stability: Q

## P
The following is a PBE calculation of a relaxed structure of Rb3Nb, from the Materials Project.

Results
**Mass density**: 2.536 Mg/m³

abc: 8.7587 8.7587 6.8847
angles: 90.00 90.00 120.00
Last column: nearest neighbours and their distance in Å.
Space group P6_3/mmc (No. 194)
Symmetry-distinct sites (fractional):
Rb 0.1787 0.3573 0.2500  6 Rb 4.06-4.38, 4 Nb 4.17-4.38
Nb 0.3333 0.6667 0.7500  12 Rb 4.17-4.38

## Q
The following is a PBE calculation of a relaxed structure of Rb3Nb, from the Materials Project.

Results
**Mass density**: 2.588 Mg/m³

abc: 6.2855 6.2855 11.3450
angles: 90.00 90.00 90.00
Last column: nearest neighbours and their distance in Å.
Space group I4/mmm (No. 139)
Symmetry-distinct sites (fractional):
Rb 0.0000 0.0000 0.0000  8 Rb 4.23, 4 Nb 4.44
Rb 0.0000 0.5000 0.2500  4 Nb 4.23, 8 Rb 4.23-4.44
Nb 0.0000 0.0000 0.5000  12 Rb 4.23-4.44

Winner for stability: Q